# MgO | the Materials Project | GGA-PBE | optimized geometry
data_MgO
_cell_length_a 9.6910
_cell_length_b 10.0479
_cell_length_c 10.2025
_cell_angle_alpha 99.04
_cell_angle_beta 92.59
_cell_angle_gamma 90.69
_space_group_name_H-M_alt 'P 1'
_space_group_IT_number 1
loop_
_space_group_symop_operation_xyz
'x,y,z'
loop_
_atom_site_label
_atom_site_fract_x
_atom_site_fract_y
_atom_site_fract_z
Mg1 0.0000 0.0000 0.0000
Mg2 0.0035 0.0686 0.5437
Mg3 0.0487 0.7740 0.1718
Mg4 0.0845 0.2989 0.3637
Mg5 0.0947 0.3732 0.0393
Mg6 0.1333 0.8602 0.6894
Mg7 0.1863 0.4877 0.5703
Mg8 0.2247 0.0682 0.8473
Mg9 0.2479 0.2565 0.6566
Mg10 0.2579 0.0302 0.2489
Mg11 0.2687 0.6224 0.0942
Mg12 0.2691 0.7327 0.4048
Mg13 0.2991 0.8643 0.9774
Mg14 0.3254 0.4278 0.2620
Mg15 0.3624 0.6884 0.7369
Mg16 0.3809 0.2433 0.9969
Mg17 0.3907 0.0070 0.6426
Mg18 0.3976 0.4795 0.8902
Mg19 0.4554 0.2481 0.4084
Mg20 0.4729 0.8317 0.2682
Mg21 0.5112 0.4332 0.6458
Mg22 0.5328 0.1306 0.1605
Mg23 0.5576 0.7856 0.5517
Mg24 0.5812 0.5558 0.2994
Mg25 0.5934 0.1436 0.8218
Mg26 0.5996 0.6896 0.9619
Mg27 0.6046 0.0200 0.4680
Mg28 0.7020 0.4012 0.9695
Mg29 0.7185 0.2364 0.6077
Mg30 0.7220 0.5883 0.7178
Mg31 0.7386 0.9504 0.0547
Mg32 0.7420 0.3141 0.2070
Mg33 0.7668 0.7452 0.2318
Mg34 0.7929 0.9022 0.7463
Mg35 0.8820 0.0653 0.2963
Mg36 0.8876 0.2073 0.9070
Mg37 0.8916 0.4245 0.5429
Mg38 0.9373 0.5059 0.2185
Mg39 0.9584 0.7107 0.5121
Mg40 0.9732 0.6881 0.8718
O1 0.0623 0.6108 0.0309
O2 0.0629 0.3223 0.5754
O3 0.0844 0.0966 0.3378
O4 0.0839 0.1744 0.9453
O5 0.0965 0.8590 0.8902
O6 0.1266 0.4224 0.2319
O7 0.1810 0.0584 0.6447
O8 0.1810 0.6851 0.5622
O9 0.2501 0.8291 0.1869
O10 0.2922 0.3580 0.4375
O11 0.3034 0.4202 0.0349
O12 0.3178 0.4606 0.7124
O13 0.3311 0.8873 0.7787
O14 0.3318 0.0675 0.0610
O15 0.3789 0.1859 0.8042
O16 0.3799 0.6800 0.9423
O17 0.3849 0.6213 0.2735
O18 0.4020 0.8765 0.4714
O19 0.4610 0.0567 0.3132
O20 0.5130 0.1984 0.5775
O21 0.5261 0.3508 0.2744
O22 0.5296 0.6381 0.6420
O23 0.5816 0.2411 0.0127
O24 0.5933 0.5043 0.8551
O25 0.6079 0.8285 0.1201
O26 0.6117 0.9657 0.6663
O27 0.6439 0.7606 0.3811
O28 0.6987 0.4212 0.5805
O29 0.7154 0.5479 0.1586
O30 0.7295 0.1160 0.1918
O31 0.7482 0.2640 0.7948
O32 0.7674 0.7458 0.8632
O33 0.8044 0.0963 0.4785
O34 0.8165 0.0278 0.9110
O35 0.8837 0.3555 0.0559
O36 0.8874 0.3835 0.3498
O37 0.9134 0.9064 0.1448
O38 0.9261 0.6028 0.6626
O39 0.9443 0.8909 0.6162
O40 0.9600 0.6999 0.3162
# ΔH_f (0 K) in eV/atom: -2.709
# Total moment in Bohr magnetons per cell: 0.000

***

# AsS4N3 | the Materials Project | GGA-PBE | optimized geometry
data_AsS4N3
_cell_length_a 6.8881
_cell_length_b 12.1474
_cell_length_c 9.9095
_cell_angle_alpha 90.00
_cell_angle_beta 90.09
_cell_angle_gamma 90.00
_space_group_name_H-M_alt 'P 1 21/m 1'
_space_group_IT_number 11
loop_
_space_group_symop_operation_xyz
'x,y,z'
'-x,-y,-z'
'-x,y+1/2,-z'
'x,-y+1/2,z'
loop_
_atom_site_label
_atom_site_fract_x
_atom_site_fract_y
_atom_site_fract_z
As1 0.2080 0.2500 0.0562
As2 0.2918 0.7500 0.5667
S1 0.0999 0.0247 0.5844
S2 0.1040 0.7500 0.8515
S3 0.1866 0.2500 0.6341
S4 0.3161 0.7500 0.1403
S5 0.3957 0.2500 0.3412
S6 0.4032 0.5247 0.0885
N1 0.0342 0.1472 0.6237
N2 0.1053 0.7500 0.6868
N3 0.3946 0.2500 0.1764
N4 0.4681 0.6472 0.1276
# ΔH_f (0 K) in eV/atom: 0.509
# Total moment in Bohr magnetons per cell: 0.000

***

# BaZr4SnO12 | the Materials Project | GGA-PBE | optimized geometry
data_BaZr4SnO12
_cell_length_a 8.3611
_cell_length_b 8.1893
_cell_length_c 8.1351
_cell_angle_alpha 90.00
_cell_angle_beta 90.00
_cell_angle_gamma 90.00
_space_group_name_H-M_alt 'A m m 2'
_space_group_IT_number 38
loop_
_space_group_symop_operation_xyz
'x,y,z'
'-x,-y,z'
'-x,y,z'
'x,-y,z'
'x,y+1/2,z+1/2'
'-x,-y+1/2,z+1/2'
'-x,y+1/2,z+1/2'
'x,-y+1/2,z+1/2'
loop_
_atom_site_label
_atom_site_fract_x
_atom_site_fract_y
_atom_site_fract_z
Ba1 0.0000 0.0000 0.0000
Zr1 0.2520 0.2462 0.7244
Sn1 0.5000 0.0000 0.4508
O1 0.0000 0.2143 0.7236
O2 0.2299 0.0000 0.2544
O3 0.2425 0.2033 0.9748
O4 0.3318 0.0000 0.6365
O5 0.5000 0.1906 0.2923
# ΔH_f (0 K) in eV/atom: -3.014
# Total moment in Bohr magnetons per cell: 4.000

***

# Sr2TbHfO6 | the Materials Project | GGA-PBE | optimized geometry
data_Sr2TbHfO6
_cell_length_a 8.4982
_cell_length_b 8.4982
_cell_length_c 8.4982
_cell_angle_alpha 90.00
_cell_angle_beta 90.00
_cell_angle_gamma 90.00
_space_group_name_H-M_alt 'P n -3'
_space_group_IT_number 201
loop_
_space_group_symop_operation_xyz
'x,y,z'
'-x,-y,-z'
'-x+1/2,-y+1/2,z'
'x+1/2,y+1/2,-z'
'x,-y+1/2,-z+1/2'
'-x,y+1/2,z+1/2'
'-x+1/2,y,-z+1/2'
'x+1/2,-y,z+1/2'
'z,x,y'
'-z,-x,-y'
'z,-x+1/2,-y+1/2'
'-z,x+1/2,y+1/2'
'-z+1/2,x,-y+1/2'
'z+1/2,-x,y+1/2'
'-z+1/2,-x+1/2,y'
'z+1/2,x+1/2,-y'
'y,z,x'
'-y,-z,-x'
'-y+1/2,z,-x+1/2'
'y+1/2,-z,x+1/2'
'-y+1/2,-z+1/2,x'
'y+1/2,z+1/2,-x'
'y,-z+1/2,-x+1/2'
'-y,z+1/2,x+1/2'
loop_
_atom_site_label
_atom_site_fract_x
_atom_site_fract_y
_atom_site_fract_z
Sr1 0.2500 0.2500 0.2500
Sr2 0.2500 0.2500 0.7500
Tb1 0.0000 0.0000 0.0000
Hf1 0.0000 0.0000 0.5000
O1 0.0351 0.5421 0.7605
# ΔH_f (0 K) in eV/atom: -3.454
# Total moment in Bohr magnetons per cell: 4.000

***

# ErAgPb | the Materials Project | GGA-PBE | optimized geometry
data_ErAgPb
_cell_length_a 4.8639
_cell_length_b 4.8639
_cell_length_c 7.6520
_cell_angle_alpha 90.00
_cell_angle_beta 90.00
_cell_angle_gamma 120.00
_space_group_name_H-M_alt 'P -3 m 1'
_space_group_IT_number 164
_space_group_name_Hall '-P 3 2"'
loop_
_atom_site_label
_atom_site_fract_x
_atom_site_fract_y
_atom_site_fract_z
Er1 0.0000 0.0000 0.2140
Ag1 0.3333 0.6667 0.9850
Pb1 0.3333 0.6667 0.5777
# ΔH_f (0 K) in eV/atom: -0.155
# Total moment in Bohr magnetons per cell: 0.006

***

# Na2Sc3Nb5Si6S6O48 | the Materials Project | GGA-PBE | optimized geometry
data_Na2Sc3Nb5Si6S6O48
_cell_length_a 8.9114
_cell_length_b 15.4085
_cell_length_c 23.0652
_cell_angle_alpha 90.19
_cell_angle_beta 90.00
_cell_angle_gamma 90.16
_space_group_name_H-M_alt 'P 1'
_space_group_IT_number 1
loop_
_space_group_symop_operation_xyz
'x,y,z'
loop_
_atom_site_label
_atom_site_fract_x
_atom_site_fract_y
_atom_site_fract_z
Na1 0.0000 0.0000 0.0000
Na2 0.0013 0.0027 0.4955
Na3 0.4853 0.5012 0.9992
Na4 0.4861 0.1631 0.3386
Na5 0.4914 0.4962 0.5010
Na6 0.9945 0.6680 0.8383
Sc1 0.0095 0.9980 0.3588
Sc2 0.0151 0.6695 0.9849
Sc3 0.4872 0.8371 0.5230
Sc4 0.4917 0.1724 0.4838
Sc5 0.4942 0.5075 0.8599
Sc6 0.5004 0.5007 0.3571
Sc7 0.5020 0.1660 0.1895
Sc8 0.9849 0.6610 0.6909
Sc9 0.9905 0.0027 0.8607
Nb1 0.0008 0.3372 0.3173
Nb2 0.0015 0.3328 0.0294
Nb3 0.0018 0.6654 0.1942
Nb4 0.0107 0.3301 0.5302
Nb5 0.4780 0.8319 0.0242
Nb6 0.4861 0.8394 0.3124
Nb7 0.4923 0.8337 0.8137
Nb8 0.4988 0.1727 0.9745
Nb9 0.5042 0.5060 0.6470
Nb10 0.5047 0.4945 0.1468
Nb11 0.5068 0.1698 0.6895
Nb12 0.9816 0.9994 0.6502
Nb13 0.9941 0.6615 0.4760
Nb14 0.9990 0.3296 0.8189
Nb15 0.9987 0.9916 0.1545
Si1 0.1362 0.8103 0.0876
Si2 0.1413 0.1872 0.4207
Si3 0.1413 0.5249 0.0875
Si4 0.1478 0.4737 0.4219
Si5 0.2070 0.8355 0.4216
Si6 0.2847 0.3376 0.9222
Si7 0.2866 0.0068 0.2554
Si8 0.3483 0.6882 0.9188
Si9 0.3489 0.9771 0.9194
Si10 0.3567 0.3113 0.5882
Si11 0.6410 0.3064 0.0868
Si12 0.6442 0.6450 0.7565
Si13 0.7022 0.0015 0.7573
Si14 0.7832 0.1671 0.5834
Si15 0.7848 0.4993 0.2554
Si16 0.8501 0.8537 0.2573
Si17 0.8575 0.1889 0.9225
Si18 0.8573 0.5232 0.5858
S1 0.1393 0.8559 0.7540
S2 0.1418 0.1444 0.7537
S3 0.2065 0.4998 0.7543
S4 0.2075 0.1654 0.0870
S5 0.2829 0.6686 0.5872
S6 0.3506 0.0224 0.5883
S7 0.3522 0.3558 0.2540
S8 0.3538 0.6437 0.2540
S9 0.6384 0.6903 0.4211
S10 0.6398 0.9778 0.4204
S11 0.6411 0.3572 0.7538
S12 0.6422 0.0225 0.0859
S13 0.7084 0.6682 0.0873
S14 0.7100 0.3336 0.4205
S15 0.7810 0.8320 0.9207
S16 0.8507 0.8105 0.5868
S17 0.8518 0.1452 0.2547
S18 0.8531 0.4768 0.9209
O1 0.0549 0.0964 0.4166
O2 0.0605 0.7738 0.0300
O3 0.0651 0.4325 0.3634
O4 0.0652 0.5705 0.4313
O5 0.0656 0.5698 0.1446
O6 0.0675 0.2401 0.4768
O7 0.0672 0.9104 0.0973
O8 0.0693 0.4277 0.0768
O9 0.0695 0.2326 0.7612
O10 0.0707 0.1036 0.7013
O11 0.0729 0.8960 0.8055
O12 0.0765 0.7688 0.7452
O13 0.0974 0.9162 0.4172
O14 0.0998 0.2528 0.3637
O15 0.1040 0.0897 0.0939
O16 0.1038 0.7470 0.4350
O17 0.1046 0.4165 0.4777
O18 0.1062 0.4215 0.7629
O19 0.1063 0.7506 0.1444
O20 0.1109 0.2443 0.0793
O21 0.1116 0.5774 0.7476
O22 0.1117 0.9116 0.7011
O23 0.1180 0.0924 0.8057
O24 0.1189 0.5810 0.0303
O25 0.1682 0.6822 0.9225
O26 0.1715 0.3213 0.8638
O27 0.1711 0.9856 0.9144
O28 0.1726 0.3475 0.9771
O29 0.1762 0.3221 0.5812
O30 0.1762 0.9870 0.1974
O31 0.1843 0.0113 0.5990
O32 0.1860 0.0197 0.3108
O33 0.1858 0.3484 0.2603
O34 0.1885 0.6517 0.5351
O35 0.1888 0.6554 0.2462
O36 0.1939 0.6813 0.6397
O37 0.2972 0.1803 0.1391
O38 0.2992 0.1508 0.0347
O39 0.2993 0.4841 0.7018
O40 0.2989 0.5121 0.8064
O41 0.3032 0.1564 0.7436
O42 0.3055 0.8495 0.7596
O43 0.3148 0.8459 0.4777
O44 0.3197 0.8180 0.3649
O45 0.3202 0.8230 0.0788
O46 0.3226 0.1812 0.4249
O47 0.3226 0.5118 0.1017
O48 0.3240 0.4897 0.4139
O49 0.3682 0.0755 0.5363
O50 0.3737 0.5909 0.3061
O51 0.3779 0.2467 0.9299
O52 0.3781 0.4110 0.2012
O53 0.3786 0.5864 0.5936
O54 0.3860 0.7413 0.5785
O55 0.3872 0.2496 0.6454
O56 0.3886 0.9160 0.2634
O57 0.3898 0.9158 0.9774
O58 0.3906 0.7527 0.8643
O59 0.3938 0.4174 0.9132
O60 0.3995 0.0857 0.2442
O61 0.4173 0.0650 0.6409
O62 0.4169 0.2691 0.2464
O63 0.4175 0.3963 0.3058
O64 0.4199 0.6035 0.2018
O65 0.4198 0.9366 0.5824
O66 0.4227 0.7310 0.2616
O67 0.4235 0.4092 0.6021
O68 0.4248 0.7379 0.9773
O69 0.4287 0.0701 0.9358
O70 0.4302 0.9315 0.8638
O71 0.4314 0.5958 0.9170
O72 0.4337 0.2717 0.5318
O73 0.5596 0.2629 0.0301
O74 0.5630 0.7398 0.7651
O75 0.5641 0.5959 0.6982
O76 0.5652 0.0628 0.4242
O77 0.5658 0.4063 0.0951
O78 0.5710 0.3929 0.8058
O79 0.5712 0.9326 0.3676
O80 0.5736 0.0587 0.1386
O81 0.5752 0.2683 0.7442
O82 0.5755 0.6018 0.4155
O83 0.5763 0.7299 0.4739
O84 0.5801 0.9337 0.0769
O85 0.5953 0.0838 0.7396
O86 0.6012 0.9151 0.7635
O87 0.6042 0.5901 0.0964
O88 0.6121 0.2530 0.1443
O89 0.6124 0.4111 0.4134
O90 0.6117 0.7452 0.0798
O91 0.6118 0.9241 0.4725
O92 0.6135 0.4108 0.7011
O93 0.6134 0.5818 0.8098
O94 0.6146 0.0775 0.0346
O95 0.6159 0.2547 0.4234
O96 0.6157 0.7422 0.3686
O97 0.6684 0.8417 0.2670
O98 0.6690 0.5136 0.5957
O99 0.6716 0.4870 0.1978
O100 0.6749 0.1822 0.9301
O101 0.6768 0.1785 0.6429
O102 0.6789 0.5160 0.3102
O103 0.6814 0.1419 0.5297
O104 0.6870 0.8208 0.8675
O105 0.6872 0.8460 0.9735
O106 0.6880 0.1560 0.2463
O107 0.6898 0.4814 0.9140
O108 0.6909 0.8246 0.5785
O109 0.7953 0.6488 0.0348
O110 0.8000 0.6807 0.1397
O111 0.8010 0.3477 0.4724
O112 0.8013 0.9864 0.4134
O113 0.8053 0.3220 0.3668
O114 0.8063 0.3471 0.7611
O115 0.8069 0.6824 0.4287
O116 0.8094 0.0153 0.0933
O117 0.8146 0.0194 0.8090
O118 0.8176 0.3243 0.0732
O119 0.8175 0.9873 0.6980
O120 0.8220 0.6595 0.7470
O121 0.8727 0.7530 0.9259
O122 0.8746 0.0915 0.3058
O123 0.8778 0.9097 0.9150
O124 0.8791 0.9169 0.1975
O125 0.8800 0.7608 0.6395
O126 0.8820 0.5887 0.5303
O127 0.8827 0.4233 0.9727
O128 0.8856 0.2519 0.8634
O129 0.8887 0.2509 0.5783
O130 0.8885 0.4129 0.2648
O131 0.8902 0.5831 0.2402
O132 0.8969 0.0821 0.6002
O133 0.9168 0.4273 0.5725
O134 0.9200 0.1048 0.2010
O135 0.9213 0.2329 0.2617
O136 0.9215 0.4334 0.8669
O137 0.9210 0.5632 0.9245
O138 0.9208 0.7601 0.2387
O139 0.9240 0.7737 0.5348
O140 0.9262 0.9011 0.5949
O141 0.9266 0.5655 0.6430
O142 0.9269 0.8992 0.3105
O143 0.9284 0.0950 0.9159
O144 0.9279 0.2413 0.9769
# ΔH_f (0 K) in eV/atom: -2.740
# Total moment in Bohr magnetons per cell: 0.000

***

> What is the total moment in the fourth record?

4.000 Bohr magnetons per cell